K2ZrF6: optimized geometry, r2SCAN.

Output
The calculated formation energy is -3678 meV/atom. As for the crystal system: orthorhombic.

Lattice parameters (Å, degrees): 6.560 11.411 6.883 90.00 90.00 90.00
Space group Cmcm (No. 63)
Unique sites:
1 K 0.000 0.155 0.000 x8
2 Zr 0.000 0.448 0.250 x4
3 F 0.000 0.399 0.548 x8
4 F 0.191 0.300 0.250 x8
5 F 0.206 0.009 0.250 x8


K2ZrF6: optimized geometry, r2SCAN.

Output
The calculated formation energy is -3680 meV/atom. As for the crystal system: monoclinic.

Lattice parameters (Å, degrees): 6.543 11.389 6.942 90.00 90.53 90.00
Space group C2/c (No. 15)
Unique sites:
1 K 0.022 0.158 0.003 x8
2 Zr 0.000 0.453 0.250 x4
3 F 0.038 0.400 0.955 x8
4 F 0.192 0.307 0.277 x8
5 F 0.208 0.015 0.286 x8


KrF2: optimized geometry, r2SCAN.

Output
The calculated formation energy is 1 meV/atom. As for the crystal system: tetragonal. Its energy relative to the lowest polymorph listed for this composition is 0.010 eV/atom.

Lattice parameters (Å, degrees): 4.533 4.533 5.849 90.00 90.00 90.00
Space group P4_2/mnm (No. 136)
Unique sites:
1 Kr 0.000 0.000 0.000 x2
2 F 0.201 0.201 0.500 x4


KrF2: optimized geometry, r2SCAN.

Output
The calculated formation energy is -9 meV/atom. As for the crystal system: tetragonal. Its energy relative to the lowest polymorph listed for this composition is 0.000 eV/atom.

Lattice parameters (Å, degrees): 4.103 4.103 6.502 90.00 90.00 90.00
Space group I4/mmm (No. 139)
Unique sites:
1 Kr 0.000 0.000 0.000 x2
2 F 0.000 0.000 0.295 x4


SbKrF7: optimized geometry, r2SCAN.

Output
The calculated formation energy is -1628 meV/atom. As for the crystal system: monoclinic.

Lattice parameters (Å, degrees): 5.210 10.474 10.680 90.00 95.60 90.00
Space group P2_1/c (No. 14)
Unique sites:
1 Sb 0.101 0.008 0.269 x4
2 Kr 0.477 0.734 0.976 x4
3 F 0.007 0.635 0.123 x4
4 F 0.082 0.576 0.376 x4
5 F 0.169 0.099 0.692 x4
6 F 0.247 0.628 0.687 x4
7 F 0.299 0.558 0.928 x4
8 F 0.358 0.118 0.977 x4
9 F 0.397 0.108 0.250 x4


La3SiN4F: optimized geometry, r2SCAN.

Output
The calculated formation energy is -2092 meV/atom. As for the crystal system: orthorhombic.

Lattice parameters (Å, degrees): 9.928 7.735 6.893 90.00 90.00 90.00
Space group Pnma (No. 62)
Unique sites:
1 La 0.034 0.250 0.086 x4
2 La 0.162 0.025 0.600 x8
3 Si 0.106 0.750 0.309 x4
4 N 0.007 0.750 0.520 x4
5 N 0.077 0.557 0.191 x8
6 N 0.223 0.250 0.873 x4
7 F 0.226 0.750 0.839 x4


- Look up the calculated formation energy of the second one.
  -3680 meV/atom


- Which formula does entry 6 have?
  La3SiN4F


What did the fifth record say?
SbKrF7: optimized geometry, r2SCAN.

Output
The calculated formation energy is -1628 meV/atom. As for the crystal system: monoclinic.

Lattice parameters (Å, degrees): 5.210 10.474 10.680 90.00 95.60 90.00
Space group P2_1/c (No. 14)
Unique sites:
1 Sb 0.101 0.008 0.269 x4
2 Kr 0.477 0.734 0.976 x4
3 F 0.007 0.635 0.123 x4
4 F 0.082 0.576 0.376 x4
5 F 0.169 0.099 0.692 x4
6 F 0.247 0.628 0.687 x4
7 F 0.299 0.558 0.928 x4
8 F 0.358 0.118 0.977 x4
9 F 0.397 0.108 0.250 x4


- Among the records above, which one has the lowest calculated formation energy?
  number 2